# 1
An optimized crystal structure of LiFeSiO4. Source: Materials Project, functional PBE+U.

Cell: 13.8632 13.8632 9.4724 Å, 90.00 90.00 120.00°
Space group R-3 (No. 148, hexagonal axes)
Asymmetric unit:
1 Li 0.0200 0.2110 0.2530 [18 per cell]
2 Fe 0.0134 0.2108 0.9098 [18 per cell]
3 Si 0.0186 0.2081 0.5766 [18 per cell]
4 O 0.0027 0.3163 0.5672 [18 per cell]
5 O 0.0729 0.2014 0.7269 [18 per cell]
6 O 0.0862 0.2143 0.0768 [18 per cell]
7 O 0.0948 0.2034 0.4420 [18 per cell]

**Electronic total energy**: -6.854 eV/atom
**Offset from the most stable computed form**: 53 meV/atom
**Energy of formation from the pure elements**: -2.483 eV/atom

=====

# 2
An optimized crystal structure of LiFeSiO4. Source: Materials Project, functional PBE+U.

Cell: 11.2965 5.3763 5.9295 Å, 90.00 90.00 90.00°
Space group Pna2_1 (No. 33)
Asymmetric unit:
1 Li 0.1693 0.1744 0.0000 [4 per cell]
2 Fe 0.0769 0.6735 0.2248 [4 per cell]
3 Si 0.0829 0.8240 0.7168 [4 per cell]
4 O 0.0443 0.3267 0.1977 [4 per cell]
5 O 0.0607 0.1270 0.7293 [4 per cell]
6 O 0.1544 0.7661 0.9540 [4 per cell]
7 O 0.1637 0.7481 0.4953 [4 per cell]

**Electronic total energy**: -6.851 eV/atom
**Offset from the most stable computed form**: 56 meV/atom
**Energy of formation from the pure elements**: -2.481 eV/atom

=====

# 3
An optimized crystal structure of Li3Fe4Si6O20. Source: Materials Project, functional PBE+U.

Cell: 5.4953 5.5115 16.6436 Å, 86.14 86.76 60.62°
Space group P1 (No. 1)
Asymmetric unit:
1 Li 0.0000 0.0000 0.0000 [1 per cell]
2 Li 0.0331 0.0722 0.6819 [1 per cell]
3 Li 0.5371 0.5853 0.2845 [1 per cell]
4 Fe 0.1765 0.6260 0.1488 [1 per cell]
5 Fe 0.1861 0.2493 0.3114 [1 per cell]
6 Fe 0.3710 0.4259 0.6557 [1 per cell]
7 Fe 0.9905 0.4359 0.8141 [1 per cell]
8 Si 0.0379 0.5764 0.4831 [1 per cell]
9 Si 0.3159 0.3023 0.9816 [1 per cell]
10 Si 0.4973 0.9676 0.1352 [1 per cell]
11 Si 0.6554 0.1087 0.8316 [1 per cell]
12 Si 0.7025 0.7556 0.6338 [1 per cell]
13 Si 0.8582 0.9145 0.3317 [1 per cell]
14 O 0.0746 0.3257 0.9246 [1 per cell]
15 O 0.1003 0.6426 0.2812 [1 per cell]
16 O 0.1337 0.3185 0.4240 [1 per cell]
17 O 0.2403 0.5755 0.0311 [1 per cell]
18 O 0.2897 0.2445 0.1880 [1 per cell]
19 O 0.2972 0.4779 0.5438 [1 per cell]
20 O 0.3567 0.0421 0.0455 [1 per cell]
21 O 0.3752 0.3361 0.7808 [1 per cell]
22 O 0.4168 0.7499 0.6658 [1 per cell]
23 O 0.4733 0.6987 0.1719 [1 per cell]
24 O 0.5575 0.9254 0.3217 [1 per cell]
25 O 0.6135 0.1947 0.9279 [1 per cell]
26 O 0.6909 0.0545 0.6455 [1 per cell]
27 O 0.7007 0.7979 0.8265 [1 per cell]
28 O 0.7585 0.6566 0.5407 [1 per cell]
29 O 0.8120 0.9259 0.1270 [1 per cell]
30 O 0.8616 0.2018 0.2994 [1 per cell]
31 O 0.9180 0.1404 0.7934 [1 per cell]
32 O 0.9634 0.8553 0.4249 [1 per cell]
33 O 0.9805 0.5060 0.6836 [1 per cell]

**Electronic total energy**: -7.054 eV/atom
**Energy of formation from the pure elements**: -2.559 eV/atom

=====

# 4
An optimized crystal structure of LiFeSiO4. Source: Materials Project, functional PBE+U.

Cell: 7.9954 5.3996 8.5260 Å, 90.00 105.62 90.00°
Space group Pc (No. 7)
Asymmetric unit:
1 Li 0.0000 0.1560 0.0000 [2 per cell]
2 Li 0.4990 0.3346 0.3067 [2 per cell]
3 Fe 0.3726 0.1694 0.9238 [2 per cell]
4 Fe 0.8936 0.3499 0.6310 [2 per cell]
5 Si 0.1276 0.3266 0.3785 [2 per cell]
6 Si 0.6136 0.1613 0.6834 [2 per cell]
7 O 0.0420 0.2051 0.5161 [2 per cell]
8 O 0.1823 0.3802 0.9254 [2 per cell]
9 O 0.2933 0.1586 0.3635 [2 per cell]
10 O 0.4812 0.3045 0.7710 [2 per cell]
11 O 0.5353 0.1182 0.1321 [2 per cell]
12 O 0.6484 0.3104 0.5245 [2 per cell]
13 O 0.8168 0.1766 0.7997 [2 per cell]
14 O 0.9835 0.3326 0.1982 [2 per cell]

**Electronic total energy**: -6.849 eV/atom
**Offset from the most stable computed form**: 58 meV/atom
**Energy of formation from the pure elements**: -2.478 eV/atom

=====

# 5
An optimized crystal structure of LiFeSi6O15. Source: Materials Project, functional PBE+U.

Cell: 14.5415 17.1383 10.0176 Å, 90.00 90.00 90.00°
Space group Cmce (No. 64)
Asymmetric unit:
1 Li 0.2491 0.0000 0.0000 [8 per cell]
2 Fe 0.2500 0.0901 0.2500 [8 per cell]
3 Si 0.1082 0.1327 0.5080 [16 per cell]
4 Si 0.1090 0.0646 0.8033 [16 per cell]
5 Si 0.1086 0.1845 0.0452 [16 per cell]
6 O 0.0000 0.0434 0.8079 [8 per cell]
7 O 0.0000 0.1168 0.4754 [8 per cell]
8 O 0.0000 0.1742 0.0823 [8 per cell]
9 O 0.1275 0.2262 0.4956 [16 per cell]
10 O 0.1328 0.1044 0.6601 [16 per cell]
11 O 0.1342 0.1276 0.9207 [16 per cell]
12 O 0.1727 0.0103 0.1614 [16 per cell]
13 O 0.1725 0.1715 0.1764 [16 per cell]
14 O 0.1746 0.0809 0.4133 [16 per cell]

**Electronic total energy**: -7.348 eV/atom
**Energy of formation from the pure elements**: -2.801 eV/atom

=====

# 6
An optimized crystal structure of Li4Fe3Si3O12. Source: Materials Project, functional PBE+U.

Cell: 8.9265 8.7970 17.7006 Å, 90.00 120.20 90.00°
Space group P2_1/c (No. 14)
Asymmetric unit:
1 Li 0.0046 0.2016 0.2517 [4 per cell]
2 Li 0.1197 0.0585 0.0966 [4 per cell]
3 Li 0.3041 0.0674 0.4617 [4 per cell]
4 Li 0.4253 0.5624 0.3172 [4 per cell]
5 Fe 0.0331 0.1402 0.5905 [4 per cell]
6 Fe 0.3317 0.1330 0.9277 [4 per cell]
7 Fe 0.3515 0.6462 0.7692 [4 per cell]
8 Si 0.0323 0.7264 0.0917 [4 per cell]
9 Si 0.3156 0.7323 0.4263 [4 per cell]
10 Si 0.3514 0.2168 0.2653 [4 per cell]
11 O 0.0554 0.2226 0.0122 [4 per cell]
12 O 0.1134 0.2189 0.3782 [4 per cell]
13 O 0.1213 0.5570 0.1039 [4 per cell]
14 O 0.1395 0.2191 0.1886 [4 per cell]
15 O 0.1791 0.6412 0.6485 [4 per cell]
16 O 0.1965 0.6295 0.9328 [4 per cell]
17 O 0.2541 0.7180 0.3188 [4 per cell]
18 O 0.2783 0.5682 0.4548 [4 per cell]
19 O 0.3854 0.0500 0.3130 [4 per cell]
20 O 0.3930 0.1409 0.8305 [4 per cell]
21 O 0.4614 0.2240 0.2128 [4 per cell]
22 O 0.4826 0.2123 0.5202 [4 per cell]

**Electronic total energy**: -6.721 eV/atom
**Offset from the most stable computed form**: 0 meV/atom
**Energy of formation from the pure elements**: -2.462 eV/atom

=====

# 7
An optimized crystal structure of LiFeSiO4. Source: Materials Project, functional PBE+U.

Cell: 10.3857 6.7775 5.0825 Å, 90.00 90.00 90.00°
Space group Pna2_1 (No. 33)
Asymmetric unit:
1 Li 0.1500 0.0069 0.0000 [4 per cell]
2 Fe 0.1690 0.5083 0.0017 [4 per cell]
3 Si 0.0932 0.2656 0.5038 [4 per cell]
4 O 0.0622 0.7347 0.9434 [4 per cell]
5 O 0.1207 0.2734 0.8238 [4 per cell]
6 O 0.1595 0.0630 0.3863 [4 per cell]
7 O 0.1680 0.4551 0.3687 [4 per cell]

**Electronic total energy**: -6.884 eV/atom
**Offset from the most stable computed form**: 23 meV/atom
**Energy of formation from the pure elements**: -2.513 eV/atom
**Largest piezoelectric modulus**: 0.672 C/m²

=====

# 8
An optimized crystal structure of LiFeSiO4. Source: Materials Project, functional PBE+U.

Cell: 5.1000 5.2167 6.7365 Å, 90.00 89.71 89.75°
Space group P1 (No. 1)
Asymmetric unit:
1 Li 0.0000 0.0000 0.0000 [1 per cell]
2 Li 0.4973 0.5027 0.3610 [1 per cell]
3 Fe 0.4976 0.0020 0.0025 [1 per cell]
4 Fe 0.9968 0.5047 0.3584 [1 per cell]
5 Si 0.2473 0.0070 0.4966 [1 per cell]
6 Si 0.7493 0.5029 0.8657 [1 per cell]
7 O 0.0496 0.8710 0.3660 [1 per cell]
8 O 0.2352 0.3265 0.4478 [1 per cell]
9 O 0.2622 0.9440 0.8047 [1 per cell]
10 O 0.4438 0.8914 0.3443 [1 per cell]
11 O 0.5522 0.3674 0.9959 [1 per cell]
12 O 0.7366 0.8218 0.9187 [1 per cell]
13 O 0.7627 0.4420 0.5562 [1 per cell]
14 O 0.9471 0.3884 0.0159 [1 per cell]

**Electronic total energy**: -5.944 eV/atom
**Offset from the most stable computed form**: 963 meV/atom
**Energy of formation from the pure elements**: -1.574 eV/atom

=====

# 9
An optimized crystal structure of LiFeSi2O6. Source: Materials Project, functional PBE+U.

Cell: 5.3721 9.3256 5.6402 Å, 90.00 90.00 90.00°
Space group C222 (No. 21)
Asymmetric unit:
1 Li 0.0000 0.0000 0.0000 [2 per cell]
2 Fe 0.0000 0.5000 0.0000 [2 per cell]
3 Si 0.2500 0.2500 0.3366 [4 per cell]
4 O 0.0000 0.2410 0.5000 [4 per cell]
5 O 0.2389 0.3939 0.1710 [8 per cell]

**Electronic total energy**: -7.200 eV/atom
**Offset from the most stable computed form**: 9 meV/atom
**Energy of formation from the pure elements**: -2.747 eV/atom
**Largest piezoelectric modulus**: 0.316 C/m²